Record 1
An optimized crystal structure of KEuDyBiO6. Source: the Materials Project, functional PBE.

As for the total magnetic moment: 23.937 μB/cell. The value obtained for the formation energy is -2.396 eV/atom. The total energy is -6.939 eV/atom. The value obtained for the energy above the most stable polymorph in this dataset is 0.020 eV per atom.

Unit cell a=8.6486 b=8.6486 c=8.6486 alpha=90.00 beta=90.00 gamma=90.00
Last column: nearest neighbours and their distance in Å.
Space group F-43m (No. 216)
Symmetry-distinct sites (fractional):
K  0.0000  0.0000  0.0000 [4 per cell]  12 O 3.06
Eu  0.0000  0.0000  0.5000 [4 per cell]  12 O 3.06
Dy  0.2500  0.2500  0.7500 [4 per cell]  6 O 2.21
Bi  0.2500  0.2500  0.2500 [4 per cell]  6 O 2.11
O  0.0058  0.2500  0.2500 [24 per cell]  1 Bi 2.11, 1 Dy 2.21

Record 2
An optimized crystal structure of Dy6FeBi2. Source: the Materials Project, functional PBE.

The value obtained for the formation energy is -0.419 eV/atom. The total energy is -5.296 eV/atom.

Unit cell a=8.3542 b=8.3542 c=4.1704 alpha=90.00 beta=90.00 gamma=120.00
Last column: nearest neighbours and their distance in Å.
Space group P-62m (No. 189)
Symmetry-distinct sites (fractional):
Dy  0.0000  0.2291  0.0000 [3 per cell]  2 Fe 2.83
Dy  0.0000  0.6071  0.5000 [3 per cell]  1 Fe 3.28, 4 Bi 3.31, 4 Dy 3.54
Fe  0.0000  0.0000  0.5000 [1 per cell]  6 Dy 2.83
Bi  0.3333  0.6667  0.0000 [2 per cell]  9 Dy 3.31

What is the formula in the first record? KEuDyBiO6